--- A ---
{
  "formula": "Ca2Al2Si6SnH6O22",
  "functional": "PBE-GGA",
  "state": "relaxed",
  "lattice_angstrom": [[-4.1522, -3.9178, -4.9569], [-3.3597, 6.6404, -2.4341], [12.9696, 3.3314, -8.8132]],
  "species": ["O", "O", "O", "O", "O", "O", "O", "O", "O", "O", "O", "O", "O", "O", "O", "O", "O", "O", "O", "O", "O", "O", "O", "O", "O", "O", "O", "O", "O", "O", "O", "O", "O", "O", "O", "O", "O", "O", "O", "O", "O", "O", "O", "O", "Si", "Si", "Si", "Si", "Si", "Si", "Si", "Si", "Si", "Si", "Si", "Si", "H", "H", "H", "H", "H", "H", "H", "H", "H", "H", "H", "H", "Ca", "Ca", "Ca", "Ca", "Al", "Al", "Al", "Al", "Sn", "Sn"],
  "frac_coords": [[0.2340, 0.8559, 0.6367], [0.1380, 0.4777, 0.6245], [0.8367, 0.3016, 0.5203], [0.8620, 0.5223, 0.3755], [0.4982, 0.2759, 0.9413], [0.2651, 0.4839, 0.9926], [0.8185, 0.1052, 0.2037], [0.7660, 0.3559, 0.8633], [0.5018, 0.7241, 0.0587], [0.8367, 0.1984, 0.0203], [0.5535, 0.9661, 0.7646], [0.1815, 0.8948, 0.7963], [0.4982, 0.2241, 0.4413], [0.1646, 0.3323, 0.4453], [0.8354, 0.8323, 0.0547], [0.7349, 0.9839, 0.5074], [0.8522, 0.9967, 0.6811], [0.7630, 0.6905, 0.7847], [0.5535, 0.5339, 0.2646], [0.5935, 0.7234, 0.4084], [0.7630, 0.8095, 0.2847], [0.4065, 0.2234, 0.0916], [0.2370, 0.3095, 0.2153], [0.8185, 0.3948, 0.7037], [0.2651, 0.0161, 0.4926], [0.1478, 0.4967, 0.8189], [0.8522, 0.5033, 0.1811], [0.8620, 0.9777, 0.8755], [0.5935, 0.7766, 0.9084], [0.7349, 0.5161, 0.0074], [0.1646, 0.1677, 0.9453], [0.1633, 0.8016, 0.9797], [0.8354, 0.6677, 0.5547], [0.4465, 0.4661, 0.7354], [0.1633, 0.6984, 0.4797], [0.1380, 0.0223, 0.1245], [0.7660, 0.1441, 0.3633], [0.2370, 0.1905, 0.7153], [0.4065, 0.2766, 0.5916], [0.1815, 0.6052, 0.2963], [0.2340, 0.6441, 0.1367], [0.1478, 0.0033, 0.3189], [0.4465, 0.0339, 0.2354], [0.5018, 0.7759, 0.5587], [0.2870, 0.6692, 0.0437], [0.6676, 0.7163, 0.0070], [0.3063, 0.3547, 0.6664], [0.6937, 0.8547, 0.8336], [0.3324, 0.2837, 0.9930], [0.3324, 0.2163, 0.4930], [0.6937, 0.6453, 0.3336], [0.2870, 0.8308, 0.5437], [0.6676, 0.7837, 0.5070], [0.3063, 0.1453, 0.1664], [0.7130, 0.3308, 0.9563], [0.7130, 0.1692, 0.4563], [0.7841, 0.1319, 0.1433], [0.8472, 0.4680, 0.1214], [0.2745, 0.0096, 0.3116], [0.1528, 0.9680, 0.3786], [0.2745, 0.4904, 0.8116], [0.7255, 0.5096, 0.1884], [0.7841, 0.3681, 0.6433], [0.2159, 0.8681, 0.8567], [0.7255, 0.9904, 0.6884], [0.8472, 0.0320, 0.6214], [0.1528, 0.5320, 0.8786], [0.2159, 0.6319, 0.3567], [0.9973, 0.8113, 0.2004], [0.0027, 0.3113, 0.2996], [0.0027, 0.1887, 0.7996], [0.9973, 0.6887, 0.7004], [0.3204, 0.5218, 0.2286], [0.6796, 0.0218, 0.2714], [0.6796, 0.4782, 0.7714], [0.3204, 0.9782, 0.7286], [0.0000, 0.5000, 0.5000], [0.0000, 0.0000, 0.0000]]
}

--- B ---
{
  "formula": "Ca2Al2Si6SnH6O22",
  "functional": "PBE-GGA",
  "state": "relaxed",
  "lattice_angstrom": [[7.6727, 0.0000, -1.9217], [0.0000, 7.8786, 0.0000], [-0.9617, 0.0000, 15.9894]],
  "species": ["Si", "Si", "Si", "Si", "Si", "Si", "Si", "Si", "Si", "Si", "Si", "Si", "Ca", "Ca", "Ca", "Ca", "O", "O", "O", "O", "O", "O", "O", "O", "O", "O", "O", "O", "O", "O", "O", "O", "O", "O", "O", "O", "O", "O", "O", "O", "O", "O", "O", "O", "O", "O", "O", "O", "O", "O", "O", "O", "O", "O", "O", "O", "O", "O", "O", "O", "H", "H", "H", "H", "H", "H", "H", "H", "H", "H", "H", "H", "Al", "Al", "Al", "Al", "Sn", "Sn"],
  "frac_coords": [[0.7493, 0.1720, 0.0538], [0.1995, 0.3010, 0.5025], [0.7493, 0.3280, 0.5538], [0.8005, 0.8010, 0.9975], [0.1995, 0.1990, 0.0025], [0.8510, 0.8559, 0.6761], [0.2507, 0.8280, 0.9462], [0.2507, 0.6720, 0.4462], [0.8005, 0.6990, 0.4975], [0.8510, 0.6441, 0.1761], [0.1490, 0.1441, 0.3239], [0.1490, 0.3559, 0.8239], [0.5063, 0.1894, 0.7046], [0.4937, 0.6894, 0.7954], [0.4937, 0.8106, 0.2954], [0.5063, 0.3106, 0.2046], [0.6890, 0.0912, 0.3056], [0.3681, 0.5018, 0.6765], [0.6520, 0.6660, 0.9444], [0.7233, 0.3549, 0.6497], [0.0797, 0.3661, 0.5684], [0.7847, 0.8061, 0.2261], [0.0797, 0.1339, 0.0684], [0.7163, 0.5117, 0.5032], [0.3766, 0.7074, 0.0208], [0.3766, 0.7926, 0.5208], [0.6890, 0.4088, 0.8056], [0.0860, 0.2341, 0.4068], [0.6234, 0.2926, 0.9792], [0.2153, 0.1939, 0.7739], [0.6319, 0.0018, 0.8235], [0.3480, 0.1660, 0.5556], [0.6747, 0.5212, 0.1310], [0.3681, 0.9982, 0.1765], [0.9203, 0.6339, 0.4316], [0.9140, 0.7341, 0.0932], [0.6234, 0.2074, 0.4792], [0.9140, 0.7659, 0.5932], [0.2153, 0.3061, 0.2739], [0.2837, 0.4883, 0.4968], [0.2837, 0.0117, 0.9968], [0.2767, 0.6451, 0.3503], [0.7233, 0.1451, 0.1497], [0.6520, 0.8340, 0.4444], [0.3253, 0.0212, 0.3690], [0.0524, 0.7323, 0.9345], [0.3110, 0.5912, 0.1944], [0.3480, 0.3340, 0.0556], [0.7847, 0.6939, 0.7261], [0.6747, 0.9788, 0.6310], [0.9476, 0.2677, 0.0655], [0.7163, 0.9883, 0.0032], [0.3253, 0.4788, 0.8690], [0.0860, 0.2659, 0.9068], [0.2767, 0.8549, 0.8503], [0.3110, 0.9088, 0.6944], [0.6319, 0.4982, 0.3235], [0.9203, 0.8661, 0.9316], [0.0524, 0.7677, 0.4345], [0.9476, 0.2323, 0.5655], [0.3816, 0.5401, 0.6200], [0.7585, 0.5305, 0.3402], [0.2415, 0.0305, 0.1598], [0.7271, 0.1189, 0.3680], [0.7271, 0.3811, 0.8680], [0.2729, 0.6189, 0.1320], [0.2415, 0.4695, 0.6598], [0.6184, 0.0401, 0.8800], [0.3816, 0.9599, 0.1200], [0.6184, 0.4599, 0.3800], [0.2729, 0.8811, 0.6320], [0.7585, 0.9695, 0.8402], [0.8408, 0.0252, 0.2470], [0.8408, 0.4748, 0.7470], [0.1592, 0.5252, 0.2530], [0.1592, 0.9748, 0.7530], [0.5000, 0.5000, 0.0000], [0.5000, 0.0000, 0.5000]]
}

Energy ordering: A at the bottom, the next structure 378 meV per atom above.

--- A ---
{
  "formula": "NaCaMgAlSi4O12",
  "functional": "PBE-GGA",
  "state": "relaxed",
  "lattice_angstrom": [[4.4251, 4.8493, 0.0000], [-4.4251, 4.8493, 0.0000], [0.0000, 1.5904, 5.0762]],
  "species": ["Na", "O", "O", "O", "O", "O", "O", "O", "O", "O", "O", "O", "O", "Mg", "Al", "Si", "Si", "Si", "Si", "Ca"],
  "frac_coords": [[0.2995, 0.7005, 0.5000], [0.3704, 0.3432, 0.7492], [0.9731, 0.8078, 0.3612], [0.6425, 0.6657, 0.7496], [0.8936, 0.3880, 0.5611], [0.1922, 0.0269, 0.6388], [0.8065, 0.9659, 0.9030], [0.1050, 0.6222, 0.9480], [0.3343, 0.3575, 0.2504], [0.6568, 0.6296, 0.2508], [0.0341, 0.1935, 0.0970], [0.3778, 0.8950, 0.0520], [0.6120, 0.1064, 0.4389], [0.9100, 0.0900, 0.5000], [0.0988, 0.9012, 0.0000], [0.3774, 0.1942, 0.5290], [0.8058, 0.6226, 0.4710], [0.1958, 0.3845, 0.0177], [0.6155, 0.8042, 0.9823], [0.6991, 0.3009, 0.0000]]
}

--- B ---
{
  "formula": "NaCaMgAlSi4O12",
  "functional": "PBE-GGA",
  "state": "relaxed",
  "lattice_angstrom": [[-0.2476, 7.0047, -3.7641], [-7.4585, -0.8455, -1.0828], [-3.5728, 3.7710, 7.2526]],
  "species": ["O", "O", "O", "O", "O", "O", "O", "O", "O", "O", "O", "O", "O", "O", "O", "O", "O", "O", "O", "O", "O", "O", "O", "O", "Si", "Si", "Si", "Si", "Si", "Si", "Si", "Si", "Al", "Al", "Ca", "Ca", "Mg", "Mg", "Na", "Na"],
  "frac_coords": [[0.2902, 0.3924, 0.4036], [0.1604, 0.5969, 0.6086], [0.4360, 0.7320, 0.5717], [0.0617, 0.6789, 0.2565], [0.6749, 0.5343, 0.4817], [0.0639, 0.8896, 0.4746], [0.5365, 0.1810, 0.1516], [0.7144, 0.8889, 0.9775], [0.2856, 0.3889, 0.9775], [0.6158, 0.4936, 0.9517], [0.4635, 0.6810, 0.1516], [0.0523, 0.0443, 0.9216], [0.9477, 0.5443, 0.9216], [0.7391, 0.7153, 0.7003], [0.2094, 0.8474, 0.7590], [0.9361, 0.3896, 0.4746], [0.7098, 0.8924, 0.4036], [0.3842, 0.9936, 0.9517], [0.3251, 0.0343, 0.4817], [0.7906, 0.3474, 0.7590], [0.5640, 0.2320, 0.5717], [0.2609, 0.2153, 0.7003], [0.9383, 0.1789, 0.2565], [0.8396, 0.0969, 0.6086], [0.2237, 0.0271, 0.8297], [0.5283, 0.8541, 0.0364], [0.7763, 0.5271, 0.8297], [0.2396, 0.8185, 0.5769], [0.7604, 0.3185, 0.5769], [0.6320, 0.7250, 0.5270], [0.3680, 0.2250, 0.5270], [0.4717, 0.3541, 0.0364], [0.1172, 0.5289, 0.4317], [0.8828, 0.0289, 0.4317], [0.8339, 0.5118, 0.2317], [0.1661, 0.0118, 0.2317], [0.1304, 0.4201, 0.8008], [0.8696, 0.9201, 0.8008], [0.8106, 0.1350, 0.0542], [0.1894, 0.6350, 0.0542]]
}

Energy ordering: A at the bottom, the next structure 293 meV per atom above.

--- A ---
{
  "formula": "Ca2MgAl2Si3O12",
  "functional": "PBE-GGA",
  "state": "relaxed",
  "lattice_angstrom": [[5.3519, 0.0000, 0.0000], [1.4322, 6.4332, 0.0000], [1.3582, 0.3745, 6.4492]],
  "species": ["O", "O", "O", "O", "O", "O", "O", "O", "O", "O", "O", "O", "Al", "Al", "Si", "Si", "Si", "Mg", "Ca", "Ca"],
  "frac_coords": [[0.4928, 0.6637, 0.6340], [0.9897, 0.6348, 0.6716], [0.8111, 0.8913, 0.3884], [0.1779, 0.1061, 0.6439], [0.3512, 0.0256, 0.1762], [0.6832, 0.6126, 0.0959], [0.6190, 0.9787, 0.7989], [0.5231, 0.3357, 0.3699], [0.0007, 0.3827, 0.3389], [0.8834, 0.2000, 0.0261], [0.1441, 0.8021, 0.9687], [0.3154, 0.3772, 0.8880], [0.2793, 0.1879, 0.3851], [0.2468, 0.0928, 0.9116], [0.7206, 0.8071, 0.6218], [0.2262, 0.6174, 0.8069], [0.7801, 0.3828, 0.1966], [0.7453, 0.9088, 0.0913], [0.7562, 0.3003, 0.6886], [0.2541, 0.6923, 0.2976]]
}

--- B ---
{
  "formula": "Ca2MgAl2Si3O12",
  "functional": "PBE-GGA",
  "state": "relaxed",
  "lattice_angstrom": [[6.5939, 0.0000, 0.0000], [0.6857, 6.5803, 0.0000], [2.2888, 1.9232, 10.2218]],
  "species": ["Si", "Si", "Si", "Si", "Si", "Si", "Mg", "Mg", "O", "O", "O", "O", "O", "O", "O", "O", "O", "O", "O", "O", "O", "O", "O", "O", "O", "O", "O", "O", "O", "O", "O", "O", "Al", "Al", "Al", "Al", "Ca", "Ca", "Ca", "Ca"],
  "frac_coords": [[0.6205, 0.8034, 0.8614], [0.6152, 0.8105, 0.3629], [0.8079, 0.6237, 0.1136], [0.3848, 0.1895, 0.6371], [0.3795, 0.1966, 0.1386], [0.1921, 0.3763, 0.8864], [0.9045, 0.0941, 0.1255], [0.0955, 0.9059, 0.8745], [0.3751, 0.3439, 0.2468], [0.3263, 0.3671, 0.0044], [0.7996, 0.9731, 0.3235], [0.8876, 0.3891, 0.1649], [0.3762, 0.8993, 0.4065], [0.6238, 0.1007, 0.5935], [0.1124, 0.6109, 0.8351], [0.6249, 0.6561, 0.7532], [0.0232, 0.2017, 0.9306], [0.8047, 0.9688, 0.8065], [0.6579, 0.6304, 0.4886], [0.3891, 0.8943, 0.9134], [0.3762, 0.3192, 0.7582], [0.9795, 0.8204, 0.5634], [0.3421, 0.3696, 0.5114], [0.6238, 0.6808, 0.2418], [0.9768, 0.7983, 0.0694], [0.0205, 0.1796, 0.4366], [0.1953, 0.0312, 0.1935], [0.1086, 0.6467, 0.3446], [0.6109, 0.1057, 0.0866], [0.8914, 0.3533, 0.6554], [0.6737, 0.6329, 0.9956], [0.2004, 0.0269, 0.6765], [0.8132, 0.6125, 0.6091], [0.1868, 0.3875, 0.3909], [0.0905, 0.9122, 0.3787], [0.9095, 0.0878, 0.6213], [0.3094, 0.6907, 0.6232], [0.6969, 0.3003, 0.8714], [0.3031, 0.6997, 0.1286], [0.6906, 0.3093, 0.3768]]
}

Energy ordering: B at the bottom, the next structure 9 meV per atom above.